i:
{
  "formula": "MgMn2O2F2",
  "functional": "GGA+U",
  "state": "optimized geometry",
  "lattice": [[4.033, 0.000, 0.000], [0.000, 6.730, 0.000], [0.000, 0.000, 3.247]],
  "species": ["Mg", "Mn", "Mn", "O", "O", "F", "F"],
  "fractional_positions": [[0.250, 0.615, 0.750], [0.250, 0.143, 0.750], [0.750, 0.881, 0.250], [0.250, 0.812, 0.250], [0.750, 0.086, 0.750], [0.250, 0.389, 0.250], [0.750, 0.611, 0.750]]
}

ii:
{
  "formula": "MgMn2O2F2",
  "functional": "GGA+U",
  "state": "optimized geometry",
  "lattice": [[5.600, 0.846, 0.000], [0.241, 5.659, 0.000], [0.000, 0.000, 3.149]],
  "species": ["Mg", "Mn", "Mn", "O", "O", "F", "F"],
  "fractional_positions": [[0.207, 0.207, 0.500], [0.894, 0.894, 0.000], [0.528, 0.528, 0.500], [0.334, 0.334, 0.000], [0.677, 0.677, 0.000], [0.188, 0.853, 0.500], [0.853, 0.188, 0.500]]
}

iii:
{
  "formula": "MgMn2O2F2",
  "functional": "GGA+U",
  "state": "optimized geometry",
  "lattice": [[-4.537, -2.426, -2.473], [4.321, 0.552, -3.690], [1.110, -2.950, 0.858]],
  "species": ["Mg", "Mn", "Mn", "O", "O", "F", "F"],
  "fractional_positions": [[0.320, 0.680, 0.000], [0.945, 0.055, 0.000], [0.564, 0.436, 0.500], [0.283, 0.319, 0.000], [0.681, 0.717, 0.000], [0.212, 0.788, 0.500], [0.786, 0.214, 0.500]]
}

Tell me which of them is the least stable. Sure, it is ii.

i:
{
  "formula": "MgMn4O4F6",
  "functional": "GGA+U",
  "state": "optimized geometry",
  "lattice": [[0.432, 3.935, 3.331], [4.503, 3.909, -1.052], [-6.522, 4.458, -0.708]],
  "species": ["Mg", "Mn", "Mn", "Mn", "Mn", "O", "O", "O", "O", "F", "F", "F", "F", "F", "F"],
  "fractional_positions": [[0.000, 0.503, 0.002], [0.357, 0.941, 0.879], [0.793, 0.494, 0.394], [0.206, 0.513, 0.611], [0.642, 0.066, 0.125], [0.776, 0.762, 0.877], [0.403, 0.713, 0.647], [0.595, 0.294, 0.358], [0.224, 0.245, 0.127], [0.946, 0.713, 0.471], [0.892, 0.210, 0.951], [0.623, 0.750, 0.246], [0.377, 0.257, 0.759], [0.107, 0.797, 0.054], [0.052, 0.294, 0.534]]
}

ii:
{
  "formula": "MgMn4O4F6",
  "functional": "GGA+U",
  "state": "optimized geometry",
  "lattice": [[4.624, -0.894, 1.776], [3.702, -2.012, -4.470], [3.237, 6.628, 2.862]],
  "species": ["Mg", "Mn", "Mn", "Mn", "Mn", "O", "O", "O", "O", "F", "F", "F", "F", "F", "F"],
  "fractional_positions": [[0.867, 0.986, 0.410], [0.344, 0.973, 0.862], [0.804, 0.479, 0.358], [0.182, 0.495, 0.621], [0.657, 0.013, 0.106], [0.750, 0.753, 0.857], [0.412, 0.692, 0.632], [0.594, 0.263, 0.354], [0.251, 0.228, 0.117], [0.012, 0.683, 0.453], [0.890, 0.181, 0.946], [0.643, 0.785, 0.290], [0.449, 0.186, 0.685], [0.105, 0.825, 0.074], [0.023, 0.248, 0.501]]
}

Tell me which of them is the least stable. Sure, it is i.

i:
{
  "formula": "MgMn4O4F4",
  "functional": "GGA+U",
  "state": "optimized geometry",
  "lattice": [[-1.750, -2.872, -4.007], [2.028, -5.537, 1.758], [-4.523, -1.280, 2.162]],
  "species": ["Mg", "Mn", "Mn", "Mn", "Mn", "O", "O", "O", "O", "F", "F", "F", "F"],
  "fractional_positions": [[0.465, 0.919, 0.729], [0.003, 0.696, 0.677], [0.029, 0.161, 0.238], [0.529, 0.365, 0.791], [0.507, 0.645, 0.262], [0.306, 0.175, 0.941], [0.248, 0.878, 0.438], [0.725, 0.398, 0.081], [0.675, 0.606, 0.577], [0.257, 0.416, 0.497], [0.280, 0.689, 0.960], [0.732, 0.096, 0.550], [0.742, 0.849, 0.996]]
}

ii:
{
  "formula": "MgMn4O4F4",
  "functional": "GGA+U",
  "state": "optimized geometry",
  "lattice": [[-2.420, 4.143, 2.221], [-4.630, 1.378, -3.453], [-3.836, -3.075, 2.986]],
  "species": ["Mg", "Mn", "Mn", "Mn", "Mn", "O", "O", "O", "O", "F", "F", "F", "F"],
  "fractional_positions": [[0.091, 0.206, 0.585], [0.967, 0.742, 0.583], [0.004, 0.082, 0.093], [0.501, 0.387, 0.808], [0.541, 0.648, 0.280], [0.241, 0.205, 0.894], [0.205, 0.941, 0.367], [0.693, 0.372, 0.073], [0.758, 0.502, 0.581], [0.306, 0.428, 0.486], [0.216, 0.716, 0.876], [0.811, 0.056, 0.742], [0.775, 0.882, 0.234]]
}

Tell me which of them is the least stable. Sure, it is ii.

i:
{
  "formula": "MgMn4O4F4",
  "functional": "GGA+U",
  "state": "optimized geometry",
  "lattice": [[5.289, 0.412, -0.564], [0.568, 5.830, -0.551], [-0.631, -0.470, 5.470]],
  "species": ["Mg", "Mn", "Mn", "Mn", "Mn", "O", "O", "O", "O", "F", "F", "F", "F"],
  "fractional_positions": [[0.425, 0.150, 0.210], [0.059, 0.837, 0.654], [0.940, 0.127, 0.222], [0.835, 0.442, 0.829], [0.476, 0.647, 0.275], [0.093, 0.130, 0.949], [0.242, 0.938, 0.389], [0.649, 0.356, 0.101], [0.738, 0.664, 0.569], [0.247, 0.431, 0.399], [0.192, 0.621, 0.948], [0.754, 0.150, 0.504], [0.655, 0.865, 0.088]]
}

ii:
{
  "formula": "MgMn4O4F4",
  "functional": "GGA+U",
  "state": "optimized geometry",
  "lattice": [[5.394, 0.112, 0.380], [0.063, 5.214, 0.771], [-0.487, 0.899, 6.047]],
  "species": ["Mg", "Mn", "Mn", "Mn", "Mn", "O", "O", "O", "O", "F", "F", "F", "F"],
  "fractional_positions": [[0.269, 0.521, 0.115], [0.244, 0.436, 0.653], [0.043, 0.025, 0.241], [0.771, 0.889, 0.772], [0.778, 0.531, 0.359], [0.139, 0.263, 0.969], [0.098, 0.277, 0.407], [0.928, 0.746, 0.521], [0.933, 0.765, 0.089], [0.417, 0.728, 0.819], [0.401, 0.723, 0.322], [0.628, 0.285, 0.647], [0.614, 0.326, 0.191]]
}

iii:
{
  "formula": "MgMn4O4F4",
  "functional": "GGA+U",
  "state": "optimized geometry",
  "lattice": [[5.444, -0.579, 0.343], [-0.519, 5.222, 0.128], [-0.587, 0.240, 6.446]],
  "species": ["Mg", "Mn", "Mn", "Mn", "Mn", "O", "O", "O", "O", "F", "F", "F", "F"],
  "fractional_positions": [[0.566, 0.869, 0.119], [0.259, 0.480, 0.663], [0.109, 0.130, 0.172], [0.846, 0.004, 0.681], [0.797, 0.513, 0.397], [0.084, 0.212, 0.884], [0.020, 0.251, 0.429], [0.973, 0.697, 0.609], [0.896, 0.791, 0.174], [0.501, 0.774, 0.842], [0.450, 0.679, 0.373], [0.573, 0.267, 0.618], [0.512, 0.209, 0.176]]
}

Tell me which of them is the least stable. Sure, it is iii.